Below is an optimized crystal structure of CsLu2Cl7, with properties calculated at the r²SCAN level.

Properties
symmetry: Pnma (62)
ΔE_f: -57.557 kcal/mol of atoms

extended XYZ file:
```
40
Lattice="-1.7934 -4.3494 -4.9830 9.6068 3.8116 -6.7844 7.8603 -9.7301 5.6638" Properties=species:S:1:pos:R:3 pbc="T T T"
Cl 7.2953 -5.9415 2.4642
Cl 1.7318 -7.6418 -3.2881
Cl 0.5023 -3.3052 -1.9074
Cl 1.3606 -1.2236 0.4775
Cl 3.4468 -2.7888 -3.4226
Cl 10.1727 -6.5328 -5.0277
Cl 6.2291 -5.8273 -6.4796
Cl 7.2102 -1.2838 -8.5430
Cl 11.3668 -9.5650 -5.0708
Cl 8.4634 -8.9840 2.4394
Cl 2.5943 -5.5501 -0.8916
Cl 6.4352 -8.0274 0.0744
Cl 7.0875 -3.7457 -4.0947
Cl 13.9418 -2.6261 -2.8155
Cl 15.1714 -6.9626 -4.1962
Cl 10.0937 -8.9990 -0.5804
Cl 8.5862 -6.5222 -2.0090
Cl 6.4425 0.8229 -3.1268
Cl 9.2384 -2.2404 -6.1780
Cl 9.4445 -4.4406 0.3759
Cl 4.3069 -0.7029 -1.0328
Cl 13.0793 -4.7178 -5.2120
Cl 8.3783 -4.3263 -8.5678
Cl 12.2269 -7.4791 -2.6811
Cl 5.5800 -1.2689 -5.5232
Cl 9.2312 -11.0907 -2.9768
Cl 5.5010 -3.7351 -1.0759
Cl 14.3131 -9.0443 -6.5811
Lu 9.8570 -8.5096 -3.1886
Lu 5.8166 -1.7583 -2.9150
Lu 5.8824 -8.1565 2.6461
Lu 8.8299 -7.0423 0.6127
Lu 6.8437 -3.2256 -6.7163
Lu 9.7913 -2.1113 -8.7497
Lu 2.9367 -2.9562 -0.8329
Lu 12.7370 -7.3117 -5.2707
Cs 7.4439 1.6122 -6.4425
Cs 8.2298 -11.8801 0.3389
Cs 5.1457 -6.6793 -3.0906
Cs 10.5280 -3.5885 -3.0131
```